[1]
# FeN3F6, relaxed, DFT PBE+U
data_FeN3F6
_cell_length_a 5.9431
_cell_length_b 6.1691
_cell_length_c 6.3273
_cell_angle_alpha 92.20
_cell_angle_beta 117.60
_cell_angle_gamma 115.03
_space_group_name_H-M_alt 'P 1'
_space_group_IT_number 1
_space_group_name_Hall 'P 1'
loop_
_atom_site_label
_atom_site_fract_x
_atom_site_fract_y
_atom_site_fract_z
F1 0.1061 0.3266 0.3288
F2 0.0831 0.8252 0.2624
F3 0.4008 0.2256 0.0868
F4 0.5224 0.7607 0.9554
F5 0.8209 0.1914 0.7893
F6 0.8705 0.7417 0.7071
N1 0.5936 0.2284 0.7438
N2 0.4952 0.7415 0.1558
N3 0.0207 0.4097 0.4637
Fe1 0.0670 0.9543 0.0106
# Energy relative to the elements, eV per atom: -0.289
# V, Å³ per atom: 17.817
# Uncorrected energy, eV/atom: -4.283


[2]
# MnP2O7, relaxed, DFT PBE+U
data_MnP2O7
_cell_length_a 6.5741
_cell_length_b 6.5741
_cell_length_c 6.8077
_cell_angle_alpha 68.26
_cell_angle_beta 68.26
_cell_angle_gamma 80.01
_space_group_name_H-M_alt 'P 1'
_space_group_IT_number 1
_space_group_name_Hall 'P 1'
loop_
_atom_site_label
_atom_site_fract_x
_atom_site_fract_y
_atom_site_fract_z
O1 0.4555 0.7654 0.1779
O2 0.6407 0.6407 0.5031
O3 0.7654 0.4555 0.1779
O4 0.2887 0.9866 0.5165
O5 0.7113 0.0134 0.4835
O6 0.8584 0.8584 0.0032
O7 0.5445 0.2346 0.8221
O8 0.9866 0.2887 0.5165
O9 0.3593 0.3593 0.4969
O10 0.1416 0.1416 0.9968
O11 0.2346 0.5445 0.8221
O12 0.0134 0.7113 0.4835
O13 0.6760 0.6760 0.8360
O14 0.3240 0.3240 0.1640
P1 0.6939 0.6939 0.0571
P2 0.3061 0.3061 0.9429
P3 0.7723 0.7723 0.5656
P4 0.2277 0.2277 0.4344
Mn1 0.6856 0.3144 0.5000
Mn2 0.3144 0.6856 0.5000
# Energy relative to the elements, eV per atom: -2.260
# V, Å³ per atom: 12.682
# Uncorrected energy, eV/atom: -7.074


[3]
# MgFe6O6F6, relaxed, DFT PBE+U
data_MgFe6O6F6
_cell_length_a 5.1760
_cell_length_b 14.4332
_cell_length_c 3.1046
_cell_angle_alpha 90.13
_cell_angle_beta 89.68
_cell_angle_gamma 97.89
_space_group_name_H-M_alt 'P 1'
_space_group_IT_number 1
_space_group_name_Hall 'P 1'
loop_
_atom_site_label
_atom_site_fract_x
_atom_site_fract_y
_atom_site_fract_z
Fe1 0.5235 0.1793 0.5048
Fe2 0.0272 0.0214 0.0092
Fe3 0.5443 0.4803 0.5002
Fe4 0.3531 0.8427 0.5311
Fe5 0.1670 0.6263 0.0083
Fe6 0.0363 0.3293 0.0041
F1 0.2312 0.2597 0.5035
F2 0.8601 0.4155 0.5036
F3 0.5949 0.9118 0.0316
F4 0.6749 0.7647 0.5390
F5 0.7980 0.5696 0.0099
F6 0.8362 0.0763 0.5097
O1 0.3376 0.0986 0.0061
O2 0.1697 0.7563 0.0238
O3 0.0556 0.9249 0.5143
O4 0.3281 0.5887 0.5063
O5 0.3733 0.4273 0.0012
O6 0.7122 0.2364 0.0043
Mg1 0.8630 0.8245 0.0392
# Energy relative to the elements, eV per atom: -2.121
# V, Å³ per atom: 12.091
# Uncorrected energy, eV/atom: -5.972


[4]
# CaVP2O7, relaxed, DFT PBE+U
data_CaVP2O7
_cell_length_a 8.9058
_cell_length_b 7.4254
_cell_length_c 9.3087
_cell_angle_alpha 64.37
_cell_angle_beta 90.00
_cell_angle_gamma 90.00
_space_group_name_H-M_alt 'P 1'
_space_group_IT_number 1
_space_group_name_Hall 'P 1'
loop_
_atom_site_label
_atom_site_fract_x
_atom_site_fract_y
_atom_site_fract_z
O1 0.1110 0.4723 0.1485
O2 0.7628 0.8981 0.1935
O3 0.6105 0.4288 0.9016
O4 0.9132 0.0167 0.3698
O5 0.1105 0.5712 0.5984
O6 0.2588 0.3944 0.9496
O7 0.2372 0.1019 0.8065
O8 0.4132 0.9833 0.1302
O9 0.6110 0.5277 0.3515
O10 0.1317 0.9113 0.1691
O11 0.5868 0.0167 0.8698
O12 0.3890 0.4723 0.6485
O13 0.1754 0.7432 0.8959
O14 0.8246 0.2568 0.1041
O15 0.7372 0.8981 0.6935
O16 0.3895 0.5712 0.0984
O17 0.2628 0.1019 0.3065
O18 0.6317 0.0887 0.3309
O19 0.7588 0.6056 0.5504
O20 0.8895 0.4288 0.4016
O21 0.3246 0.7432 0.3959
O22 0.0868 0.9833 0.6302
O23 0.8890 0.5277 0.8515
O24 0.3683 0.9113 0.6691
O25 0.6754 0.2568 0.6041
O26 0.7412 0.6056 0.0504
O27 0.2412 0.3944 0.4496
O28 0.8683 0.0887 0.8309
P1 0.2759 0.9449 0.2407
P2 0.2241 0.9449 0.7407
P3 0.2423 0.5357 0.0297
P4 0.7577 0.4643 0.9703
P5 0.7241 0.0551 0.7593
P6 0.2577 0.5357 0.5297
P7 0.7423 0.4643 0.4703
P8 0.7759 0.0551 0.2593
Ca1 0.4504 0.2854 0.3538
Ca2 0.0496 0.2854 0.8538
Ca3 0.9504 0.7146 0.1462
Ca4 0.5496 0.7146 0.6462
V1 0.5750 0.7719 0.1135
V2 0.0750 0.2281 0.3865
V3 0.9250 0.7719 0.6135
V4 0.4250 0.2281 0.8865
# Energy relative to the elements, eV per atom: -2.888
# V, Å³ per atom: 12.613
# Uncorrected energy, eV/atom: -7.437